No. 1
The following is a PBE calculation of a relaxed structure of AlN, from Materials Project.

Corrected total energy (MP2020 scheme) in eV per atom: -7.625
Largest piezoelectric modulus in C/m2: 1.7

abc: 3.1286 3.1286 5.0170
angles: 90.00 90.00 120.00
Space group P6_3mc (No. 186)
Unique sites:
Al1 0.3333 0.6667 0.0000 [2 per cell]
N1 0.3333 0.6667 0.3814 [2 per cell]

No. 2
The following is a PBE calculation of a relaxed structure of AlN, from Materials Project.

Corrected total energy (MP2020 scheme) in eV per atom: -7.510
Spin magnetization in Bohr magnetons per cell: 0.00

abc: 3.3121 3.3121 4.1876
angles: 90.00 90.00 120.00
Space group P6_3/mmc (No. 194)
Unique sites:
Al1 0.3333 0.6667 0.2500 [2 per cell]
N1 0.3333 0.6667 0.7500 [2 per cell]

No. 3
The following is a PBE calculation of a relaxed structure of Na2Al3Si3NO13, from Materials Project.

Corrected total energy (MP2020 scheme) in eV per atom: -7.153
Spin magnetization in Bohr magnetons per cell: 24.00

abc: 16.4942 15.3997 5.2882
angles: 90.00 90.00 90.00
Space group Pna2_1 (No. 33)
Unique sites:
Na1 0.0833 0.2470 0.9998 [4 per cell]
Na2 0.0884 0.7487 0.0000 [4 per cell]
Al1 0.0497 0.1066 0.5389 [4 per cell]
Al2 0.0526 0.3990 0.5367 [4 per cell]
Al3 0.2011 0.7524 0.5221 [4 per cell]
Si1 0.0532 0.6116 0.5401 [4 per cell]
Si2 0.0577 0.8937 0.5370 [4 per cell]
Si3 0.1942 0.2505 0.5204 [4 per cell]
N1 0.2493 0.5298 0.3176 [4 per cell]
O1 0.0092 0.1411 0.2456 [4 per cell]
O2 0.0158 0.3585 0.2482 [4 per cell]
O3 0.0178 0.6416 0.2626 [4 per cell]
O4 0.0244 0.8603 0.2613 [4 per cell]
O5 0.0704 0.5087 0.5557 [4 per cell]
O6 0.0709 0.9971 0.5500 [4 per cell]
O7 0.1347 0.1720 0.6077 [4 per cell]
O8 0.1347 0.6678 0.6040 [4 per cell]
O9 0.1428 0.8436 0.6064 [4 per cell]
O10 0.1437 0.3402 0.5981 [4 per cell]
O11 0.2120 0.2480 0.2174 [4 per cell]
O12 0.2225 0.7521 0.1927 [4 per cell]
O13 0.2412 0.4071 0.7828 [4 per cell]

No. 4
The following is a PBE calculation of a relaxed structure of Nd3AlN, from Materials Project.

Corrected total energy (MP2020 scheme) in eV per atom: -4.200
Spin magnetization in Bohr magnetons per cell: 0.01

abc: 5.5400 5.5400 5.5400
angles: 90.00 90.00 90.00
Space group Pm-3m (No. 221)
Unique sites:
Nd1 0.0000 0.0000 0.5000 [3 per cell]
Al1 0.0000 0.0000 0.0000 [1 per cell]
N1 0.5000 0.5000 0.5000 [1 per cell]

Number 1: ρ 3.2 Mg/m³, E_form -1.58 eV per atom. Number 2: ρ 3.4 Mg/m³, E_form -1.47 eV per atom. Number 3: ρ 2.1 Mg/m³, E_form -2.48 eV per atom. Number 4: ρ 4.6 Mg/m³, E_form 1.08 eV per atom.